Entry from the Materials Project database: an optimized crystal structure of NdMgPd (r²SCAN).

Computed properties:
- symmetry = P-62m, No. 189
- E_form (eV per atom) = -0.65

abc: 7.633 7.633 4.100
angles: 90.00 90.00 120.00
Atoms (fractional coordinates):
Nd (0.000, 0.585, 0.000)
Nd (0.415, 0.415, 0.000)
Nd (0.585, 0.000, 0.000)
Mg (0.000, 0.238, 0.500)
Mg (0.238, 0.000, 0.500)
Mg (0.762, 0.762, 0.500)
Pd (0.000, 0.000, 0.000)
Pd (0.333, 0.667, 0.500)
Pd (0.667, 0.333, 0.500)